Entry 1:
Compound: Sr2La2CuRuO8
Source: the Materials Project
Functional: PBE-GGA
Structure: relaxed

```
14
Lattice="3.885 0.000 0.000 0.000 3.885 0.000 0.000 0.000 12.710" Properties=species:S:1:pos:R:3 pbc="T T T"
La 1.943 1.943 10.915
La 1.943 1.943 1.795
O 1.943 1.943 8.515
O 1.943 0.000 6.355
O 0.000 0.000 10.520
O 0.000 0.000 2.190
O 1.943 1.943 4.196
O 0.000 1.943 6.355
O 1.943 0.000 0.000
O 0.000 1.943 0.000
Ru 1.943 1.943 6.355
Sr 0.000 0.000 4.551
Sr 0.000 0.000 8.160
Cu 0.000 0.000 0.000
```

space-group type: P4/mmm, No. 123
ΔH_f (0 K): -2.6908 eV/atom
raw total energy: -98.384 eV/f.u.
crystal system: tetragonal



Entry 2:
Compound: SrLaCuRuO6
Source: the Materials Project
Functional: PBE-GGA
Structure: relaxed

```
70
Lattice="5.563 0.000 0.000 2.679 4.888 0.000 2.282 1.351 32.319" Properties=species:S:1:pos:R:3 pbc="T T T"
O 3.987 3.829 14.696
O 6.246 2.334 31.443
O 4.299 0.655 5.311
O 3.737 0.749 13.105
O 5.158 1.754 21.579
O 3.522 3.947 22.348
O 6.672 5.412 19.317
O 3.718 4.058 8.485
O 2.694 0.298 3.093
O 6.470 4.237 7.993
O 3.998 5.135 19.540
O 4.192 1.965 10.287
O 7.944 2.841 19.885
O 5.048 4.763 30.851
O 6.660 2.172 23.971
O 6.845 2.252 10.093
O 7.042 3.774 1.226
O 6.511 0.960 12.668
O 7.861 3.319 26.265
O 5.067 4.456 24.470
O 6.890 3.551 14.918
O 5.144 5.041 16.979
O 3.836 2.768 3.504
O 5.273 4.566 10.623
O 7.820 6.078 29.154
O 3.638 2.545 17.302
O 4.003 1.851 24.154
O 8.027 3.456 12.350
O 6.429 2.342 17.709
O 6.300 5.514 26.901
O 9.001 5.733 26.570
O 5.327 1.842 7.727
O 2.648 2.926 6.044
O 5.276 1.260 15.248
O 6.615 3.542 28.861
O 3.825 3.703 28.591
O 1.547 0.360 5.650
O 6.636 2.475 3.844
O 6.313 4.160 21.908
O 5.553 1.430 1.390
O 4.157 3.950 1.000
O 3.580 2.503 31.172
Sr 5.363 3.174 12.716
Sr 2.326 1.381 28.885
Sr 2.663 1.586 8.136
Sr 8.036 4.762 17.330
Sr 5.120 3.030 26.515
Sr 2.466 1.465 21.981
Sr 7.786 4.621 31.298
Ru 2.705 1.588 4.633
Ru 5.390 3.207 9.233
Ru 5.190 3.080 23.082
Ru 7.840 4.651 27.722
Ru 2.516 1.490 18.494
Ru 8.077 4.785 13.862
Ru 5.068 2.998 30.008
Cu 8.182 4.865 6.945
Cu 8.018 4.745 20.813
Cu 5.331 3.171 16.192
Cu 2.446 1.412 25.437
Cu 5.470 3.214 2.294
Cu 2.665 1.577 11.579
Cu 2.700 4.828 0.024
La 7.948 4.724 24.301
La 2.706 1.651 1.080
La 8.230 4.852 3.281
La 5.456 3.214 5.797
La 8.186 4.862 10.439
La 2.610 1.548 15.052
La 5.299 3.144 19.643
```

space-group type: P1, No. 1
ΔH_f (0 K): -2.3295 eV/atom
raw total energy: -68.860 eV/f.u.
crystal system: triclinic
excess energy over the best structure of this formula in the dataset: 0.05 eV/f.u.